Record 1
Entry from Materials Project: crystalline Sb2Te2Se at its relaxed geometry (PBE-GGA).

Calculated values
As for the formation energy: -0.2848 eV per atom. For the volume, the calculation gives 32.40 Å³/atom. The value obtained for the total energy is -3.7985 eV/atom. Its offset from the most stable computed form is 0.000 eV/atom.

a b c (Å): 10.6838 10.6838 10.6838
angles (deg): 22.90 22.90 22.90
Positions (direct):
1 Sb 0.8909 0.8909 0.8909
2 Sb 0.1091 0.1091 0.1091
3 Te 0.7198 0.7198 0.7198
4 Te 0.2802 0.2802 0.2802
5 Se 0.5000 0.5000 0.5000

---

Record 2
Entry from Materials Project: crystalline SrCa2Al6Si6O30 at its relaxed geometry (PBE-GGA).

Calculated values
As for the formation energy: -2.7139 eV per atom. For the volume, the calculation gives 11.53 Å³/atom. The value obtained for the total energy is -6.9040 eV/atom.

a b c (Å): 5.9045 13.7193 14.1456
angles (deg): 69.36 78.05 77.91
Positions (direct):
1 Sr 0.1326 0.4684 0.2500
2 Sr 0.4655 0.8016 0.2500
3 Ca 0.5339 0.1931 0.7500
4 Ca 0.8671 0.5268 0.7498
5 Ca 0.2006 0.8597 0.7500
6 Ca 0.7975 0.1404 0.2501
7 Al 0.9996 0.9999 0.5005
8 Al 0.6667 0.6664 0.5017
9 Al 0.3333 0.3324 0.5018
10 Al 0.5012 0.5003 0.9982
11 Al 0.1666 0.1668 0.9995
12 Al 0.8345 0.8343 0.9983
13 Al 0.5000 0.9997 0.5007
14 Al 0.8320 0.3322 0.5022
15 Al 0.1647 0.6664 0.5020
16 Al 0.6672 0.1668 0.9993
17 Al 0.0001 0.5003 0.9978
18 Al 0.3327 0.8345 0.9980
19 Si 0.2198 0.1947 0.3703
20 Si 0.8845 0.8638 0.3708
21 Si 0.5516 0.5288 0.3718
22 Si 0.3679 0.3903 0.8693
23 Si 0.0347 0.0575 0.8685
24 Si 0.7014 0.7238 0.8688
25 Si 0.4472 0.4694 0.6316
26 Si 0.1142 0.1366 0.6307
27 Si 0.7805 0.8035 0.6310
28 Si 0.3000 0.2748 0.1297
29 Si 0.9651 0.9444 0.1292
30 Si 0.6328 0.6099 0.1283
31 O 0.0924 0.0532 0.7495
32 O 0.7587 0.7201 0.7499
33 O 0.4255 0.3859 0.7506
34 O 0.5796 0.6058 0.2500
35 O 0.2451 0.2750 0.2500
36 O 0.9096 0.9447 0.2500
37 O 0.4748 0.6164 0.4325
38 O 0.1425 0.2808 0.4332
39 O 0.8077 0.9493 0.4337
40 O 0.0695 0.9298 0.9311
41 O 0.7362 0.5962 0.9313
42 O 0.4015 0.2632 0.9341
43 O 0.1908 0.0526 0.5660
44 O 0.8569 0.7172 0.5688
45 O 0.5237 0.3836 0.5688
46 O 0.5965 0.7381 0.0675
47 O 0.2646 0.4029 0.0667
48 O 0.9302 0.0718 0.0663
49 O 0.6863 0.7900 0.3888
50 O 0.3515 0.4558 0.3897
51 O 0.0184 0.1225 0.3852
52 O 0.8907 0.7869 0.8843
53 O 0.5579 0.4536 0.8840
54 O 0.2240 0.1205 0.8843
55 O 0.9804 0.8769 0.6155
56 O 0.6468 0.5430 0.6158
57 O 0.3139 0.2096 0.6159
58 O 0.7788 0.8825 0.1112
59 O 0.4447 0.5488 0.1104
60 O 0.1085 0.2126 0.1148
61 O 0.3024 0.9532 0.4405
62 O 0.9687 0.6202 0.4407
63 O 0.6356 0.2862 0.4407
64 O 0.2383 0.5865 0.9390
65 O 0.9043 0.2540 0.9393
66 O 0.5715 0.9204 0.9387
67 O 0.3638 0.7129 0.5613
68 O 0.0308 0.3792 0.5610
69 O 0.6971 0.0469 0.5606
70 O 0.4293 0.0802 0.0595
71 O 0.0957 0.7473 0.0594
72 O 0.7626 0.4133 0.0593
73 O 0.2469 0.6769 0.7497
74 O 0.9135 0.3435 0.7501
75 O 0.5801 0.0101 0.7499
76 O 0.4192 0.9986 0.2502
77 O 0.0883 0.6655 0.2502
78 O 0.7560 0.3234 0.2501
79 O 0.2319 0.8865 0.1076
80 O 0.9000 0.5523 0.1070
81 O 0.5686 0.2157 0.1119
82 O 0.5245 0.8756 0.6133
83 O 0.1915 0.5417 0.6136
84 O 0.8577 0.2083 0.6138
85 O 0.4336 0.7841 0.8866
86 O 0.1001 0.4508 0.8862
87 O 0.7670 0.1179 0.8865
88 O 0.1369 0.7916 0.3924
89 O 0.8045 0.4569 0.3930
90 O 0.4765 0.1237 0.3881

---

Record 3
Entry from Materials Project: crystalline Y5GaCo5 at its relaxed geometry (PBE-GGA).

Calculated values
As for the formation energy: -0.2922 eV per atom. For the volume, the calculation gives 19.38 Å³/atom. The value obtained for the total energy is -6.7379 eV/atom.

a b c (Å): 5.4817 5.4817 20.6078
angles (deg): 90.00 90.00 136.50
Positions (direct):
1 Y 0.2869 0.7131 0.2500
2 Y 0.2902 0.7098 0.0657
3 Y 0.9999 0.0001 0.8432
4 Y 0.7131 0.2869 0.7500
5 Y 0.7098 0.2902 0.5657
6 Y 0.0001 0.9999 0.3432
7 Y 0.9999 0.0001 0.6568
8 Y 0.7098 0.2902 0.9343
9 Y 0.0001 0.9999 0.1568
10 Y 0.2902 0.7098 0.4343
11 Ga 0.0000 0.0000 0.5000
12 Ga 0.0000 0.0000 0.0000
13 Co 0.2985 0.7015 0.6539
14 Co 0.5804 0.4196 0.4416
15 Co 0.4124 0.5876 0.7500
16 Co 0.4196 0.5804 0.9416
17 Co 0.5876 0.4124 0.2500
18 Co 0.4196 0.5804 0.5584
19 Co 0.7015 0.2985 0.3461
20 Co 0.7015 0.2985 0.1539
21 Co 0.5804 0.4196 0.0584
22 Co 0.2985 0.7015 0.8461

---

Record 4
Entry from Materials Project: crystalline KNa4SnSb3 at its relaxed geometry (PBE-GGA).

Calculated values
As for the formation energy: -0.4429 eV per atom. For the volume, the calculation gives 32.05 Å³/atom. The value obtained for the total energy is -2.9119 eV/atom.

a b c (Å): 8.3917 9.2623 17.4309
angles (deg): 58.38 90.00 90.00
Positions (direct):
1 K 0.0245 0.9123 0.9129
2 K 0.9755 0.0877 0.0871
3 K 0.5245 0.0877 0.5871
4 K 0.4755 0.9123 0.4129
5 Na 0.9969 0.5720 0.2585
6 Na 0.4969 0.4280 0.2415
7 Na 0.5031 0.5720 0.7585
8 Na 0.0031 0.4280 0.7415
9 Na 0.1261 0.1717 0.2586
10 Na 0.6261 0.8283 0.2414
11 Na 0.8739 0.8283 0.7414
12 Na 0.3739 0.1717 0.7586
13 Na 0.1609 0.8376 0.5829
14 Na 0.9485 0.7737 0.4052
15 Na 0.8391 0.1624 0.4171
16 Na 0.3391 0.8376 0.0829
17 Na 0.5515 0.7737 0.9052
18 Na 0.0515 0.2263 0.5948
19 Na 0.4485 0.2263 0.0948
20 Na 0.6609 0.1624 0.9171
21 Sn 0.8483 0.4787 0.0901
22 Sn 0.6517 0.4787 0.5901
23 Sn 0.1517 0.5213 0.9099
24 Sn 0.3483 0.5213 0.4099
25 Sb 0.1996 0.5151 0.0775
26 Sb 0.7887 0.7669 0.5849
27 Sb 0.2404 0.8358 0.2609
28 Sb 0.2113 0.2331 0.4151
29 Sb 0.2887 0.2331 0.9151
30 Sb 0.6996 0.4849 0.4225
31 Sb 0.8004 0.4849 0.9225
32 Sb 0.3004 0.5151 0.5775
33 Sb 0.7404 0.1642 0.2391
34 Sb 0.7596 0.1642 0.7391
35 Sb 0.2596 0.8358 0.7609
36 Sb 0.7113 0.7669 0.0849

---

Record 5
Entry from Materials Project: crystalline Sn2SbS2I3 at its relaxed geometry (PBE-GGA).

Calculated values
As for the formation energy: -0.5968 eV per atom. For the volume, the calculation gives 31.55 Å³/atom. The value obtained for the total energy is -3.4530 eV/atom. Its offset from the most stable computed form is 0.033 eV/atom.

a b c (Å): 7.5523 7.5523 16.0479
angles (deg): 90.00 90.00 146.53
Positions (direct):
1 Sn 0.8668 0.1332 0.9793
2 Sn 0.1332 0.8668 0.4793
3 Sn 0.1332 0.8668 0.0207
4 Sn 0.8668 0.1332 0.5207
5 Sb 0.7959 0.2041 0.2500
6 Sb 0.2041 0.7959 0.7500
7 S 0.2712 0.7288 0.5854
8 S 0.2712 0.7288 0.9146
9 S 0.7288 0.2712 0.0854
10 S 0.7288 0.2712 0.4146
11 I 0.5673 0.4327 0.6324
12 I 0.4327 0.5673 0.1324
13 I 0.8502 0.1498 0.7500
14 I 0.4327 0.5673 0.3676
15 I 0.5673 0.4327 0.8676
16 I 0.1498 0.8502 0.2500

---

Record 6
Entry from Materials Project: crystalline Ba6Dy2Ga4O15 at its relaxed geometry (PBE-GGA).

Calculated values
As for the formation energy: -2.9986 eV per atom. For the volume, the calculation gives 16.76 Å³/atom. The value obtained for the total energy is -6.5821 eV/atom.

a b c (Å): 6.0364 8.0473 18.6403
angles (deg): 88.69 90.00 90.00
Positions (direct):
1 Ba 0.7561 0.4988 0.0786
2 Ba 0.2439 0.5012 0.9214
3 Ba 0.7561 0.5012 0.4214
4 Ba 0.2439 0.4988 0.5786
5 Ba 0.7461 0.9725 0.0901
6 Ba 0.2539 0.0275 0.9099
7 Ba 0.7461 0.0275 0.4099
8 Ba 0.2539 0.9725 0.5901
9 Ba 0.7244 0.0000 0.7500
10 Ba 0.2756 0.0000 0.2500
11 Ba 0.6669 0.5000 0.7500
12 Ba 0.3331 0.5000 0.2500
13 Dy 0.7471 0.7525 0.9101
14 Dy 0.2529 0.2475 0.0899
15 Dy 0.7471 0.2475 0.5899
16 Dy 0.2529 0.7525 0.4101
17 Ga 0.7482 0.7545 0.5586
18 Ga 0.2518 0.2455 0.4414
19 Ga 0.7482 0.2455 0.9414
20 Ga 0.2518 0.7545 0.0586
21 Ga 0.7741 0.7700 0.2663
22 Ga 0.2259 0.2300 0.7337
23 Ga 0.7741 0.2300 0.2337
24 Ga 0.2259 0.7700 0.7663
25 O 0.2024 0.0000 0.7500
26 O 0.7976 0.0000 0.2500
27 O 0.5084 0.7665 0.0013
28 O 0.4916 0.2335 0.9987
29 O 0.5084 0.2335 0.4987
30 O 0.4916 0.7665 0.5013
31 O 0.7636 0.9536 0.6086
32 O 0.2364 0.0464 0.3914
33 O 0.7636 0.0464 0.8914
34 O 0.2364 0.9536 0.1086
35 O 0.0098 0.7655 0.9934
36 O 0.9902 0.2345 0.0066
37 O 0.0098 0.2345 0.5065
38 O 0.9902 0.7655 0.4934
39 O 0.3290 0.6889 0.6821
40 O 0.6710 0.3111 0.3179
41 O 0.3290 0.3111 0.8179
42 O 0.6710 0.6889 0.1821
43 O 0.4506 0.7495 0.8364
44 O 0.5494 0.2505 0.1636
45 O 0.4506 0.2505 0.6636
46 O 0.5494 0.7495 0.3364
47 O 0.9562 0.7238 0.8097
48 O 0.0438 0.2762 0.1903
49 O 0.9562 0.2762 0.6903
50 O 0.0438 0.7238 0.3097
51 O 0.7561 0.5326 0.5911
52 O 0.2439 0.4674 0.4089
53 O 0.7561 0.4674 0.9089
54 O 0.2439 0.5326 0.0911